## Cr2As (PBE)

Data for crystalline Cr2As at its relaxed geometry.

DFT formation energy ... -0.016 eV/atom

Cell: 6.4392 6.4392 3.6096 Å, 90.00 90.00 120.00°
Space group P-62m (No. 189)
Unique sites:
Cr (0.0000, 0.3970, 0.0000) [3 per cell]
Cr (0.0000, 0.7489, 0.5000) [3 per cell]
As (0.0000, 0.0000, 0.0000) [1 per cell]
As (0.3333, 0.6667, 0.5000) [2 per cell]